# Ho3ScO6

A geometry-optimized Ho3ScO6 structure (meta-GGA r2SCAN, the Materials Project database).

extended XYZ file:
```
20
Lattice="4.6954 2.7109 3.6310 -4.6954 2.7109 3.6310 0.0000 -5.4218 3.6310" Properties=species:S:1:pos:R:3 pbc="T T T"
Ho -2.3829 -2.3781 5.0180
Ho -3.2510 0.8746 5.8750
Ho 0.8681 -3.2527 5.8750
Ho -0.8681 3.2527 5.0180
Ho 3.2510 -0.8746 5.0180
Ho 2.3829 2.3781 5.8750
Sc 0.0000 0.0000 0.0000
Sc 0.0000 0.0000 5.4465
O -4.0842 -1.1979 5.9383
O -1.0047 -4.1360 4.9548
O -1.8506 -0.2186 4.3915
O -3.0795 2.9381 4.9548
O -0.7360 -1.7120 6.5016
O 1.1146 -1.4934 4.3914
O -1.1146 1.4934 6.5016
O 0.7360 1.7120 4.3914
O 3.0795 -2.9381 5.9383
O 1.8506 0.2186 6.5016
O 1.0047 4.1360 5.9383
O 4.0842 1.1979 4.9548
```

Output
symmetry = No. 148
DFT formation energy = -3936.3 meV per atom



# PrNdSb

A geometry-optimized PrNdSb structure (meta-GGA r2SCAN, the Materials Project database).

extended XYZ file:
```
6
Lattice="-2.2981 2.2981 8.9523 2.2981 -2.2981 8.9523 2.2981 2.2981 -8.9523" Properties=species:S:1:pos:R:3 pbc="T T T"
Pr 0.0000 0.0000 3.2213
Pr 0.0000 0.0000 14.6834
Nd 2.2981 0.0000 0.0000
Nd 0.0000 2.2981 0.0000
Sb 0.0000 0.0000 6.5043
Sb 0.0000 0.0000 11.4003
```

Output
symmetry = No. 139
DFT formation energy = -1013.5 meV per atom



# Nd3S3N

A geometry-optimized Nd3S3N structure (meta-GGA r2SCAN, the Materials Project database).

extended XYZ file:
```
28
Lattice="12.2788 0.0000 0.0000 0.0000 4.0236 0.0000 0.0000 0.0000 13.1621" Properties=species:S:1:pos:R:3 pbc="T T T"
Nd 0.5255 1.0059 1.9503
Nd 0.9733 1.0059 8.2727
Nd 2.6949 1.0059 11.3914
Nd 3.4445 3.0177 4.8103
Nd 5.1661 3.0177 1.6916
Nd 5.6139 3.0177 8.5314
Nd 6.6649 1.0059 4.6307
Nd 7.1127 1.0059 11.4705
Nd 8.8343 1.0059 8.3517
Nd 9.5839 3.0177 1.7707
Nd 11.3055 3.0177 4.8894
Nd 11.7532 3.0177 11.2117
S 1.0414 1.0059 5.1856
S 1.6820 3.0177 13.0954
S 2.8041 3.0177 9.1623
S 3.3353 1.0059 2.5812
S 4.4574 1.0059 6.5143
S 5.0979 3.0177 11.7666
S 7.1808 1.0059 1.3955
S 7.8214 3.0177 6.6477
S 8.9435 3.0177 10.5809
S 9.4747 1.0059 3.9998
S 10.5968 1.0059 0.0667
S 11.2373 3.0177 7.9765
N 0.5372 1.0059 10.5022
N 5.6022 3.0177 3.9211
N 6.6766 1.0059 9.2410
N 11.7416 3.0177 2.6599
```

Output
symmetry = No. 62
DFT formation energy = -2218.6 meV per atom



# Lu2Al9Rh3

A geometry-optimized Lu2Al9Rh3 structure (meta-GGA r2SCAN, the Materials Project database).

extended XYZ file:
```
28
Lattice="6.4381 -3.7637 0.0000 6.4381 3.7637 0.0000 0.0000 0.0000 9.3381" Properties=species:S:1:pos:R:3 pbc="T T T"
Lu 4.3694 2.5132 7.0036
Lu 8.5067 2.5132 7.0036
Lu 4.3694 -2.5132 2.3345
Lu 8.5067 -2.5132 2.3345
Al 4.2800 2.4964 0.7041
Al 4.2800 2.4964 3.9650
Al 6.4381 2.7938 2.3345
Al 6.4381 1.2585 5.1409
Al 6.4381 1.2585 8.8663
Al 8.5961 2.4964 0.7041
Al 8.5961 2.4964 3.9650
Al 5.0785 0.4087 2.3345
Al 5.0785 -0.4087 7.0036
Al 7.7977 0.4087 2.3345
Al 7.7977 -0.4087 7.0036
Al 4.2800 -2.4964 5.3731
Al 4.2800 -2.4964 8.6340
Al 6.4381 -1.2585 0.4718
Al 6.4381 -1.2585 4.1972
Al 6.4381 -2.7938 7.0036
Al 8.5961 -2.4964 5.3731
Al 8.5961 -2.4964 8.6340
Rh 0.0000 0.0000 0.0000
Rh 0.0000 0.0000 4.6691
Rh 4.2148 0.0000 0.0000
Rh 4.2148 0.0000 4.6691
Rh 8.6613 0.0000 0.0000
Rh 8.6613 0.0000 4.6691
```

Output
symmetry = No. 63
DFT formation energy = -883.6 meV per atom



# Si

A geometry-optimized Si structure (meta-GGA r2SCAN, the Materials Project database).

extended XYZ file:
```
46
Lattice="8.3679 -6.4046 0.0000 8.3679 6.4046 0.0000 0.0000 0.0000 9.9808" Properties=species:S:1:pos:R:3 pbc="T T T"
Si 2.9464 1.5947 6.2550
Si 2.9464 1.5947 8.7162
Si 8.3679 5.3952 6.3000
Si 8.3679 5.3952 8.6712
Si 1.6890 0.0000 0.0000
Si 1.6890 0.0000 4.9904
Si 6.3743 2.7244 0.5902
Si 6.3743 2.7244 4.4003
Si 5.1491 1.0461 5.5810
Si 5.1491 1.0461 9.3903
Si 8.3679 3.1797 5.5949
Si 8.3679 3.1797 9.3763
Si 2.9464 -1.5947 1.2646
Si 2.9464 -1.5947 3.7258
Si 7.1829 1.6432 2.4952
Si 6.4292 0.5699 7.4856
Si 8.3679 1.8440 7.4856
Si 5.1491 -1.0461 0.5906
Si 5.1491 -1.0461 4.3999
Si 10.3614 2.7244 0.5902
Si 10.3614 2.7244 4.4003
Si 6.4292 -0.5699 2.4952
Si 9.5529 1.6432 2.4952
Si 7.1829 -1.6432 7.4856
Si 10.3066 0.5699 7.4856
Si 6.3743 -2.7244 5.5806
Si 6.3743 -2.7244 9.3907
Si 11.5867 1.0461 5.5810
Si 11.5867 1.0461 9.3903
Si 8.3679 -1.8440 2.4952
Si 10.3066 -0.5699 2.4952
Si 9.5529 -1.6432 7.4856
Si 13.7894 1.5947 6.2550
Si 13.7894 1.5947 8.7162
Si 8.3679 -3.1797 0.6045
Si 8.3679 -3.1797 4.3859
Si 11.5867 -1.0461 0.5906
Si 11.5867 -1.0461 4.3999
Si 10.3614 -2.7244 5.5806
Si 10.3614 -2.7244 9.3907
Si 15.0467 0.0000 0.0000
Si 15.0467 0.0000 4.9904
Si 8.3679 -5.3952 1.3096
Si 8.3679 -5.3952 3.6808
Si 13.7894 -1.5947 1.2646
Si 13.7894 -1.5947 3.7258
```

Output
symmetry = No. 63
DFT formation energy = 129.1 meV per atom
excess energy over the best structure of this formula in the dataset = 0.13 eV/f.u.



# CaMn4S8

A geometry-optimized CaMn4S8 structure (meta-GGA r2SCAN, the Materials Project database).

extended XYZ file:
```
13
Lattice="3.4760 2.0069 6.7057 -3.4760 2.0069 6.7057 0.0000 -4.0138 6.7057" Properties=species:S:1:pos:R:3 pbc="T T T"
Ca 0.0000 0.0000 0.0000
Mn -3.4760 0.0000 10.0586
Mn -1.7380 1.0034 3.3529
Mn 1.7380 1.0034 3.3529
Mn 0.0000 0.0000 10.0586
S -1.7961 -1.0370 11.3841
S 0.0000 0.0000 4.6408
S 0.0000 -2.0739 8.7331
S -1.7961 1.0370 8.7331
S 1.7961 -1.0370 11.3841
S 0.0000 2.0739 11.3841
S 0.0000 0.0000 15.4763
S 1.7961 1.0370 8.7331
```

Output
symmetry = No. 166
DFT formation energy = -1062.2 meV per atom



What did the second record say?
# PrNdSb

A geometry-optimized PrNdSb structure (meta-GGA r2SCAN, the Materials Project database).

extended XYZ file:
```
6
Lattice="-2.2981 2.2981 8.9523 2.2981 -2.2981 8.9523 2.2981 2.2981 -8.9523" Properties=species:S:1:pos:R:3 pbc="T T T"
Pr 0.0000 0.0000 3.2213
Pr 0.0000 0.0000 14.6834
Nd 2.2981 0.0000 0.0000
Nd 0.0000 2.2981 0.0000
Sb 0.0000 0.0000 6.5043
Sb 0.0000 0.0000 11.4003
```

Output
symmetry = No. 139
DFT formation energy = -1013.5 meV per atom



What is the formula in the fifth record? Si



Repeat the first record exactly.
# Ho3ScO6

A geometry-optimized Ho3ScO6 structure (meta-GGA r2SCAN, the Materials Project database).

extended XYZ file:
```
20
Lattice="4.6954 2.7109 3.6310 -4.6954 2.7109 3.6310 0.0000 -5.4218 3.6310" Properties=species:S:1:pos:R:3 pbc="T T T"
Ho -2.3829 -2.3781 5.0180
Ho -3.2510 0.8746 5.8750
Ho 0.8681 -3.2527 5.8750
Ho -0.8681 3.2527 5.0180
Ho 3.2510 -0.8746 5.0180
Ho 2.3829 2.3781 5.8750
Sc 0.0000 0.0000 0.0000
Sc 0.0000 0.0000 5.4465
O -4.0842 -1.1979 5.9383
O -1.0047 -4.1360 4.9548
O -1.8506 -0.2186 4.3915
O -3.0795 2.9381 4.9548
O -0.7360 -1.7120 6.5016
O 1.1146 -1.4934 4.3914
O -1.1146 1.4934 6.5016
O 0.7360 1.7120 4.3914
O 3.0795 -2.9381 5.9383
O 1.8506 0.2186 6.5016
O 1.0047 4.1360 5.9383
O 4.0842 1.1979 4.9548
```

Output
symmetry = No. 148
DFT formation energy = -3936.3 meV per atom



Among the records above, which one has the lowest DFT formation energy? Ho3ScO6